Material: Mg2Ga
Method: DFT, PBE
State: optimized geometry

a = 3.118 Å, b = 3.118 Å, c = 14.989 Å
α = 90.00°, β = 90.00°, γ = 120.00°
Fractional positions:
Ga1 0.667 0.333 0.576
Ga2 0.333 0.667 0.424
Mg1 0.667 0.333 0.260
Mg2 0.333 0.667 0.740
Mg3 0.333 0.667 0.084
Mg4 0.667 0.333 0.916

space-group type = P-3m1 (164)
electronic total energy = -2.08 eV per atom